# 1
A plane-wave DFT calculation with PBE was carried out for an optimized crystal structure of MgZnH20PtC4N4O12.

Unit cell a=7.472 b=8.648 c=9.469 alpha=117.17 beta=113.24 gamma=90.00
Positions (direct):
1 Mg 0.500 0.500 0.000
2 Zn 0.000 0.500 0.000
3 H 0.483 0.857 0.187
4 H 0.705 0.330 0.187
5 H 0.295 0.143 0.813
6 H 0.517 0.670 0.813
7 H 0.660 0.045 0.322
8 H 0.661 0.276 0.322
9 H 0.339 0.955 0.678
10 H 0.340 0.724 0.678
11 H 0.703 0.857 0.188
12 H 0.485 0.331 0.188
13 H 0.515 0.143 0.812
14 H 0.297 0.669 0.812
15 H 0.948 0.792 0.895
16 H 0.948 0.104 0.895
17 H 0.052 0.208 0.105
18 H 0.052 0.896 0.105
19 H 0.921 0.816 0.632
20 H 0.711 0.816 0.632
21 H 0.289 0.184 0.368
22 H 0.079 0.184 0.368
23 Pt 0.500 0.000 0.000
24 C 0.924 0.318 0.637
25 C 0.713 0.319 0.637
26 C 0.287 0.682 0.363
27 C 0.076 0.681 0.363
28 N 0.598 0.933 0.197
29 N 0.599 0.264 0.197
30 N 0.401 0.067 0.803
31 N 0.402 0.736 0.803
32 O 0.075 0.393 0.789
33 O 0.714 0.396 0.789
34 O 0.286 0.607 0.211
35 O 0.925 0.604 0.211
36 O 0.927 0.244 0.490
37 O 0.562 0.246 0.490
38 O 0.438 0.756 0.510
39 O 0.073 0.754 0.510
40 O 0.000 0.775 0.000
41 O 0.000 0.225 0.000
42 O 0.856 0.856 0.712
43 O 0.144 0.144 0.288

Calculated values
VASP energy, eV per atom: -5.553
ΔE_f, eV/atom: -0.944
E above lowest polymorph, eV per atom: 0.0834
ρ, g/cm3: 2.0
Space group: I222 (23)

# 2
A plane-wave DFT calculation with PBE was carried out for an optimized crystal structure of MgZnH20PtC4N4O12.

Unit cell a=7.566 b=7.988 c=9.171 alpha=115.85 beta=114.34 gamma=90.14
Positions (direct):
1 Mg 0.392 0.891 0.783
2 Zn 0.008 0.508 0.016
3 H 0.454 0.747 0.128
4 H 0.675 0.383 0.130
5 H 0.292 0.235 0.804
6 H 0.510 0.566 0.800
7 H 0.657 0.889 0.311
8 H 0.656 0.424 0.313
9 H 0.302 0.114 0.614
10 H 0.309 0.500 0.613
11 H 0.675 0.748 0.128
12 H 0.454 0.382 0.130
13 H 0.508 0.234 0.798
14 H 0.291 0.564 0.798
15 H 0.948 0.789 0.898
16 H 0.950 0.109 0.898
17 H 0.059 0.210 0.116
18 H 0.056 0.907 0.115
19 H 0.924 0.818 0.635
20 H 0.712 0.818 0.635
21 H 0.292 0.184 0.370
22 H 0.078 0.184 0.370
23 Pt 0.568 0.068 0.135
24 C 0.927 0.321 0.644
25 C 0.717 0.321 0.644
26 C 0.301 0.698 0.395
27 C 0.094 0.697 0.395
28 N 0.586 0.832 0.172
29 N 0.587 0.342 0.174
30 N 0.373 0.148 0.749
31 N 0.375 0.600 0.748
32 O 0.080 0.403 0.803
33 O 0.723 0.399 0.802
34 O 0.301 0.622 0.241
35 O 0.941 0.620 0.241
36 O 0.933 0.245 0.495
37 O 0.562 0.247 0.495
38 O 0.453 0.775 0.550
39 O 0.097 0.774 0.550
40 O 0.002 0.776 0.010
41 O 0.008 0.235 0.010
42 O 0.858 0.858 0.715
43 O 0.146 0.146 0.292

Calculated values
VASP energy, eV per atom: -5.636
ΔE_f, eV/atom: -1.028
E above lowest polymorph, eV per atom: 0.0000
ρ, g/cm3: 2.3
Space group: P1 (1)

# 3
A plane-wave DFT calculation with PBE was carried out for an optimized crystal structure of MgH8C2S2N2O4.

Unit cell a=9.092 b=7.593 c=7.979 alpha=64.69 beta=90.00 gamma=90.00
Positions (direct):
1 Mg 0.000 0.000 0.000
2 Mg 0.500 0.500 0.000
3 H 0.058 0.155 0.246
4 H 0.558 0.345 0.754
5 H 0.462 0.107 0.209
6 H 0.962 0.393 0.791
7 H 0.942 0.845 0.754
8 H 0.879 0.055 0.675
9 H 0.806 0.320 0.876
10 H 0.621 0.555 0.675
11 H 0.694 0.820 0.876
12 H 0.538 0.893 0.791
13 H 0.306 0.180 0.124
14 H 0.379 0.445 0.325
15 H 0.038 0.607 0.209
16 H 0.194 0.680 0.124
17 H 0.121 0.945 0.325
18 H 0.442 0.655 0.246
19 C 0.291 0.141 0.731
20 C 0.709 0.859 0.269
21 C 0.791 0.359 0.269
22 C 0.209 0.641 0.731
23 S 0.439 0.189 0.604
24 S 0.561 0.811 0.396
25 S 0.939 0.311 0.396
26 S 0.061 0.689 0.604
27 N 0.184 0.103 0.824
28 N 0.316 0.603 0.824
29 N 0.816 0.897 0.176
30 N 0.684 0.397 0.176
31 O 0.386 0.566 0.208
32 O 0.410 0.220 0.115
33 O 0.886 0.934 0.792
34 O 0.910 0.280 0.885
35 O 0.090 0.720 0.115
36 O 0.590 0.780 0.885
37 O 0.614 0.434 0.792
38 O 0.114 0.066 0.208

Calculated values
VASP energy, eV per atom: -5.616
ΔE_f, eV/atom: -0.975
ρ, g/cm3: 1.4
Space group: P2_1/c (14)

ρ of number 1 (MgZnH20PtC4N4O12)?
2.0 g/cm3

What is the formula in the first record?
MgZnH20PtC4N4O12

VASP energy of number 1 (MgZnH20PtC4N4O12)?
-5.553 eV per atom

What is the VASP energy in the first record?
-5.553 eV per atom